# 1
# Li2TlSn

Crystalline Li2TlSn at its relaxed geometry (r2SCAN, the Materials Project database).

```
Li2TlSn
1.0
-2.2913 1.6754 3.9495
-3.8530 2.9286 -0.4829
-4.4470 -1.6297 1.1061
Li Tl Sn
2 1 1
Direct
0.5000 0.5000 0.5000
0.0000 0.0000 0.0000
0.7500 0.7500 0.7500
0.2500 0.2500 0.2500
```

Output
Its spin magnetization is 0.00 μB per cell. For the uncorrected energy, the calculation gives -83.92 eV/cell. The calculation puts the formation energy at -304.5 meV per atom.

=====

# 2
# P4O9

Crystalline P4O9 at its relaxed geometry (r2SCAN, the Materials Project database).

```
P4O9
1.0
-4.2660 -4.0947 -8.0019
4.6432 -6.8002 -5.5852
-2.8417 -9.5332 -0.1962
O P
36 16
Direct
0.2265 0.9377 0.1592
0.3477 0.9360 0.7958
0.8572 0.5733 0.6385
0.1523 0.7042 0.5640
0.9267 0.6428 0.8615
0.5640 0.1523 0.7042
0.3615 0.1428 0.4267
0.6592 0.4377 0.7265
0.7265 0.6592 0.4377
0.0733 0.3572 0.1385
0.5733 0.6385 0.8572
0.0640 0.2042 0.6523
0.4360 0.8477 0.2958
0.2042 0.6523 0.0640
0.6523 0.0640 0.2042
0.1592 0.2265 0.9377
0.6428 0.8615 0.9267
0.7042 0.5640 0.1523
0.8477 0.2958 0.4360
0.1385 0.0733 0.3572
0.2958 0.4360 0.8477
0.9360 0.7958 0.3477
0.7958 0.3477 0.9360
0.2735 0.3408 0.5623
0.3572 0.1385 0.0733
0.8408 0.7735 0.0623
0.7735 0.0623 0.8408
0.9377 0.1592 0.2265
0.8615 0.9267 0.6428
0.5623 0.2735 0.3408
0.6385 0.8572 0.5733
0.4267 0.3615 0.1428
0.3408 0.5623 0.2735
0.1428 0.4267 0.3615
0.0623 0.8408 0.7735
0.4377 0.7265 0.6592
0.2703 0.5202 0.1973
0.4798 0.8027 0.7297
0.3027 0.9798 0.2297
0.7703 0.6973 0.0202
0.2297 0.3027 0.9798
0.5738 0.5738 0.5738
0.9798 0.2297 0.3027
0.4262 0.4262 0.4262
0.7297 0.4798 0.8027
0.8027 0.7297 0.4798
0.5202 0.1973 0.2703
0.0202 0.7703 0.6973
0.1973 0.2703 0.5202
0.6973 0.0202 0.7703
0.0738 0.0738 0.0738
0.9262 0.9262 0.9262
```

Output
Its spin magnetization is 0.00 μB per cell. For the uncorrected energy, the calculation gives -464.76 eV/cell. The calculation puts the formation energy at -2032.9 meV per atom.

=====

# 3
# CoPO4

Crystalline CoPO4 at its relaxed geometry (r2SCAN, the Materials Project database).

```
CoPO4
1.0
-3.9892 -1.7944 -8.8052
4.1981 -2.8569 -1.3197
0.4246 -8.1907 1.4768
O P Co
16 4 4
Direct
0.6434 0.8932 0.9617
0.6427 0.5740 0.8226
0.6447 0.1296 0.6037
0.8566 0.8932 0.4617
0.1447 0.8704 0.8963
0.3573 0.4260 0.1774
0.5638 0.1204 0.2077
0.0638 0.8796 0.2923
0.8553 0.1296 0.1037
0.1434 0.1068 0.5383
0.8573 0.5740 0.3226
0.1427 0.4260 0.6774
0.3553 0.8704 0.3963
0.9362 0.1204 0.7077
0.4362 0.8796 0.7923
0.3566 0.1068 0.0383
0.0921 0.1274 0.7059
0.9079 0.8726 0.2941
0.4079 0.1274 0.2059
0.5921 0.8726 0.7941
0.1790 0.8123 0.4895
0.8210 0.1877 0.5105
0.6790 0.1877 0.0105
0.3210 0.8123 0.9895
```

Output
Its spin magnetization is 16.00 μB per cell. For the uncorrected energy, the calculation gives -228.77 eV/cell. The calculation puts the formation energy at -1844.5 meV per atom.

=====

# 4
# Sn2Rh

Crystalline Sn2Rh at its relaxed geometry (r2SCAN, the Materials Project database).

```
Sn2Rh
1.0
5.6287 -1.8124 2.2767
-2.7675 -1.8300 5.3852
-3.6743 -4.7225 -3.4931
Sn Rh
8 4
Direct
0.8718 0.7500 0.2507
0.5395 0.1634 0.7507
0.7111 0.6634 0.7507
0.2111 0.8366 0.7507
0.8789 0.2500 0.2507
0.0395 0.3366 0.7507
0.3789 0.2500 0.2507
0.3718 0.7500 0.2507
0.4933 0.5000 0.9865
0.7574 0.0000 0.5148
0.2574 0.5000 0.5148
0.9933 0.0000 0.9865
```

Output
Its spin magnetization is 0.00 μB per cell. For the uncorrected energy, the calculation gives -299.36 eV/cell. The calculation puts the formation energy at -403.6 meV per atom.

=====

# 5
# Tb4Ge6Ir7

Crystalline Tb4Ge6Ir7 at its relaxed geometry (r2SCAN, the Materials Project database).

```
Tb4Ge6Ir7
1.0
-3.4821 -6.1153 1.7502
-4.7304 5.4910 -0.2404
3.1340 -0.7765 -6.4930
Ir Ge Tb
7 6 4
Direct
0.7500 0.2500 0.5000
0.2500 0.5000 0.7500
0.2500 0.7500 0.5000
0.5000 0.7500 0.2500
0.5000 0.2500 0.7500
0.0000 0.0000 0.0000
0.7500 0.5000 0.2500
0.3202 0.0000 0.3202
0.6798 0.6798 0.0000
0.6798 0.0000 0.6798
0.0000 0.3202 0.3202
0.3202 0.3202 0.0000
0.0000 0.6798 0.6798
0.5000 0.5000 0.5000
0.0000 0.5000 0.0000
0.5000 0.0000 0.0000
0.0000 0.0000 0.5000
```

Output
Its spin magnetization is 0.00 μB per cell. For the uncorrected energy, the calculation gives -591.16 eV/cell. The calculation puts the formation energy at -971.0 meV per atom.

=====

# 6
# Yb2Cl2F

Crystalline Yb2Cl2F at its relaxed geometry (r2SCAN, the Materials Project database).

```
Yb2Cl2F
1.0
3.6828 0.0000 0.0000
0.0000 3.6828 0.0000
0.0000 0.0000 12.6343
Cl Yb F
2 2 1
Direct
0.5000 0.5000 0.3543
0.5000 0.5000 0.6457
0.5000 0.5000 0.1691
0.5000 0.5000 0.8309
0.5000 0.5000 0.0000
```

Output
Its spin magnetization is 0.52 μB per cell. For the uncorrected energy, the calculation gives -97.16 eV/cell. The calculation puts the formation energy at -1733.6 meV per atom.

=====

# 7
# Er2OsC2

Crystalline Er2OsC2 at its relaxed geometry (r2SCAN, the Materials Project database).

```
Er2OsC2
1.0
-3.1507 0.5405 3.9074
3.5756 -4.0339 3.4412
5.2767 7.4301 3.2269
Os Er C
4 8 8
Direct
0.2500 0.7221 0.8662
0.7500 0.2779 0.1338
0.7500 0.7779 0.3662
0.2500 0.2221 0.6338
0.7500 0.4715 0.7817
0.2500 0.0285 0.2817
0.7500 0.3195 0.4467
0.2500 0.5285 0.2183
0.2500 0.6805 0.5533
0.2500 0.1805 0.9467
0.7500 0.9715 0.7183
0.7500 0.8195 0.0533
0.7500 0.1734 0.9449
0.2500 0.3266 0.4449
0.7500 0.0418 0.2582
0.7500 0.5418 0.2418
0.2500 0.4582 0.7582
0.2500 0.8266 0.0551
0.2500 0.9582 0.7418
0.7500 0.6734 0.5551
```

Output
Its spin magnetization is 0.00 μB per cell. For the uncorrected energy, the calculation gives -573.83 eV/cell. The calculation puts the formation energy at -545.4 meV per atom.

=====

# 8
# RbErS2

Crystalline RbErS2 at its relaxed geometry (r2SCAN, the Materials Project database).

```
RbErS2
1.0
-5.5154 -5.3956 2.0654
-3.2669 -7.2551 -0.6996
-2.0166 -7.0725 3.1164
S Rb Er
2 1 1
Direct
0.7698 0.7698 0.7698
0.2302 0.2302 0.2302
0.0000 0.0000 0.0000
0.5000 0.5000 0.5000
```

Output
Its spin magnetization is 0.00 μB per cell. For the uncorrected energy, the calculation gives -72.45 eV/cell. The calculation puts the formation energy at -2132.4 meV per atom.

=====

What did the first record say?
# Li2TlSn

Crystalline Li2TlSn at its relaxed geometry (r2SCAN, the Materials Project database).

```
Li2TlSn
1.0
-2.2913 1.6754 3.9495
-3.8530 2.9286 -0.4829
-4.4470 -1.6297 1.1061
Li Tl Sn
2 1 1
Direct
0.5000 0.5000 0.5000
0.0000 0.0000 0.0000
0.7500 0.7500 0.7500
0.2500 0.2500 0.2500
```

Output
Its spin magnetization is 0.00 μB per cell. For the uncorrected energy, the calculation gives -83.92 eV/cell. The calculation puts the formation energy at -304.5 meV per atom.